(1)
Below is a relaxed Li3Mn4B4O12 crystal, with properties calculated at the GGA+U level.

Unit cell a=5.239 b=7.920 c=12.363 alpha=80.26 beta=87.22 gamma=88.18
Fractional positions:
O 0.519 0.447 0.381
B 0.900 0.834 0.198
Mn 0.601 0.006 0.370
Li 0.088 0.848 0.484
O 0.957 0.319 0.252
Mn 0.404 0.993 0.130
Mn 0.098 0.490 0.624
O 0.009 0.951 0.623
B 0.097 0.173 0.295
Li 0.574 0.367 0.239
O 0.492 0.533 0.113
Li 0.089 0.846 0.982
Mn 0.104 0.505 0.123
B 0.403 0.327 0.456
O 0.339 0.128 0.756
O 0.468 0.830 0.504
B 0.903 0.827 0.705
Mn 0.399 0.994 0.630
O 0.141 0.354 0.996
O 0.145 0.345 0.492
O 0.988 0.327 0.769
O 0.012 0.673 0.231
O 0.991 0.049 0.377
O 0.531 0.182 0.995
O 0.352 0.154 0.259
O 0.481 0.553 0.619
O 0.661 0.872 0.244
O 0.016 0.954 0.118
B 0.599 0.663 0.041
O 0.043 0.681 0.748
Li 0.426 0.633 0.761
Mn 0.902 0.510 0.376
Mn 0.896 0.495 0.877
B 0.597 0.673 0.544
O 0.855 0.655 0.508
O 0.648 0.846 0.741
O 0.859 0.646 0.004
Li 0.911 0.154 0.018
O 0.984 0.046 0.882
B 0.100 0.166 0.802
Mn 0.596 0.007 0.870
O 0.469 0.818 0.005
O 0.508 0.467 0.887
O 0.532 0.170 0.496
B 0.401 0.337 0.959
Li 0.912 0.152 0.516

Output
E ... -7.40 eV/atom
Calculated density ... 3.13 g cm⁻³
Energy of formation ... -56.6 eV per formula unit
M_tot ... 19.001 μB/f.u.
E (MP2020) ... -8.0456 eV/atom
Relative energy among the computed polymorphs ... 0.290 eV/f.u.

***

(2)
Below is a relaxed YMg6VO8 crystal, with properties calculated at the GGA+U level.

Unit cell a=8.857 b=4.467 c=4.467 alpha=90.00 beta=90.00 gamma=90.00
Fractional positions:
V 0.500 0.000 0.000
O 0.000 0.000 0.500
O 0.500 0.500 0.000
Mg 0.500 0.500 0.500
Mg 0.737 0.000 0.500
Mg 0.263 0.500 0.000
Mg 0.737 0.500 0.000
O 0.500 0.000 0.500
O 0.744 0.000 0.000
O 0.748 0.500 0.500
Mg 0.000 0.500 0.500
Y 0.000 0.000 0.000
O 0.000 0.500 0.000
O 0.252 0.500 0.500
Mg 0.263 0.000 0.500
O 0.256 0.000 0.000

Output
E ... -6.39 eV/atom
Calculated density ... 3.89 g cm⁻³
Energy of formation ... -44.7 eV per formula unit
M_tot ... 2.988 μB/f.u.
E (MP2020) ... -6.8417 eV/atom
Relative energy among the computed polymorphs ... 0.450 eV/f.u.

***

(3)
Below is a relaxed LiMn2O3F crystal, with properties calculated at the GGA+U level.

Unit cell a=4.938 b=5.796 c=10.383 alpha=90.00 beta=90.00 gamma=90.00
Fractional positions:
Mn 0.959 0.743 0.732
Mn 0.541 0.743 0.232
Li 0.969 0.755 0.412
Mn 0.019 0.506 0.010
F 0.217 0.998 0.655
F 0.717 0.498 0.845
O 0.763 0.750 0.070
Li 0.469 0.255 0.088
O 0.657 0.253 0.597
Li 0.531 0.755 0.912
Mn 0.481 0.506 0.510
Mn 0.519 0.006 0.490
O 0.737 0.750 0.570
O 0.843 0.253 0.097
O 0.278 0.494 0.177
Mn 0.981 0.006 0.990
O 0.157 0.753 0.903
O 0.237 0.250 0.930
O 0.343 0.753 0.403
O 0.263 0.250 0.430
Mn 0.041 0.243 0.268
Li 0.031 0.255 0.588
Mn 0.459 0.243 0.768
O 0.222 0.494 0.677
F 0.783 0.498 0.345
O 0.722 0.994 0.823
F 0.283 0.998 0.155
O 0.778 0.994 0.323

Output
E ... -6.70 eV/atom
Calculated density ... 4.11 g cm⁻³
Energy of formation ... -15.8 eV per formula unit
M_tot ... 7.999 μB/f.u.
E (MP2020) ... -7.5408 eV/atom
Relative energy among the computed polymorphs ... 0.432 eV/f.u.

***

(4)
Below is a relaxed Mn5Cr2O12 crystal, with properties calculated at the GGA+U level.

Unit cell a=5.207 b=5.174 c=10.028 alpha=82.92 beta=98.12 gamma=58.29
Fractional positions:
Mn 0.413 0.413 0.250
O 0.165 0.345 0.360
O 0.598 0.842 0.865
Mn 0.542 0.014 0.522
O 0.325 0.495 0.854
O 0.847 0.598 0.637
Cr 0.740 0.742 0.250
Mn 0.072 0.072 0.250
O 0.345 0.167 0.139
O 0.269 0.982 0.627
Cr 0.249 0.267 0.747
Mn 0.578 0.571 0.750
O 0.511 0.319 0.643
O 0.769 0.025 0.366
O 0.022 0.772 0.138
O 0.977 0.263 0.874
O 0.694 0.452 0.152
Mn 0.008 0.542 0.978
O 0.455 0.698 0.349

Output
E ... -7.36 eV/atom
Calculated density ... 4.28 g cm⁻³
Energy of formation ... -35.9 eV per formula unit
M_tot ... 23.019 μB/f.u.
E (MP2020) ... -8.4409 eV/atom
Relative energy among the computed polymorphs ... 0.268 eV/f.u.

***

(5)
Below is a relaxed Li12Mn3CoP4C4O28 crystal, with properties calculated at the GGA+U level.

Unit cell a=6.588 b=8.532 c=10.005 alpha=85.49 beta=90.00 gamma=90.00
Fractional positions:
O 0.000 0.576 0.794
O 0.000 0.420 0.091
O 0.500 0.423 0.203
Li 0.275 0.274 0.124
O 0.500 0.423 0.704
O 0.000 0.569 0.298
O 0.184 0.691 0.584
Li 0.725 0.273 0.622
O 0.500 0.113 0.178
Mn 0.500 0.659 0.611
O 0.500 0.580 0.405
O 0.183 0.689 0.088
O 0.316 0.310 0.915
O 0.684 0.310 0.915
O 0.500 0.930 0.026
C 0.000 0.038 0.351
Li 0.777 0.726 0.376
P 0.500 0.409 0.861
C 0.500 0.967 0.149
O 0.500 0.113 0.678
O 0.314 0.312 0.414
O 0.000 0.075 0.474
O 0.000 0.887 0.822
O 0.000 0.069 0.974
O 0.500 0.930 0.526
Li 0.725 0.274 0.124
O 0.000 0.144 0.754
P 0.000 0.590 0.637
O 0.500 0.856 0.746
Li 0.500 0.092 0.380
C 0.000 0.033 0.852
Li 0.000 0.908 0.619
O 0.500 0.580 0.905
Li 0.275 0.273 0.622
O 0.000 0.892 0.322
Mn 0.500 0.660 0.111
O 0.500 0.856 0.246
Co 0.000 0.335 0.397
Li 0.000 0.905 0.119
Li 0.777 0.727 0.877
C 0.500 0.967 0.649
O 0.686 0.312 0.414
Li 0.223 0.727 0.877
Mn 0.000 0.340 0.889
O 0.817 0.689 0.088
O 0.816 0.691 0.584
O 0.000 0.151 0.256
Li 0.500 0.093 0.880
O 0.000 0.421 0.591
P 0.500 0.410 0.360
Li 0.223 0.726 0.376
P 0.000 0.587 0.141

Output
E ... -6.78 eV/atom
Calculated density ... 2.75 g cm⁻³
Energy of formation ... -123.9 eV per formula unit
M_tot ... 18.000 μB/f.u.
E (MP2020) ... -7.2795 eV/atom

***

(6)
Below is a relaxed Eu3BWO9 crystal, with properties calculated at the GGA+U level.

Unit cell a=8.823 b=8.823 c=5.537 alpha=90.00 beta=90.00 gamma=120.00
Fractional positions:
O 0.523 0.135 0.968
Eu 0.924 0.644 0.208
Eu 0.644 0.719 0.708
Eu 0.281 0.924 0.708
O 0.177 0.121 0.871
B 0.000 0.000 0.878
O 0.056 0.177 0.371
O 0.612 0.477 0.968
O 0.738 0.533 0.541
O 0.865 0.388 0.968
O 0.879 0.056 0.871
W 0.667 0.333 0.749
O 0.467 0.205 0.541
Eu 0.719 0.076 0.208
O 0.121 0.944 0.371
B 0.000 0.000 0.378
O 0.477 0.865 0.468
O 0.135 0.612 0.468
O 0.388 0.523 0.468
Eu 0.076 0.356 0.708
Eu 0.356 0.281 0.208
O 0.944 0.823 0.871
O 0.533 0.795 0.041
O 0.823 0.879 0.371
O 0.795 0.262 0.541
O 0.205 0.738 0.041
W 0.333 0.667 0.249
O 0.262 0.467 0.041

Output
E ... -8.95 eV/atom
Calculated density ... 7.07 g cm⁻³
Energy of formation ... -41.0 eV per formula unit
M_tot ... 18.000 μB/f.u.
E (MP2020) ... -9.7105 eV/atom

***

(7)
Below is a relaxed Sr3La7Mn9FeO30 crystal, with properties calculated at the GGA+U level.

Unit cell a=5.538 b=5.538 c=55.424 alpha=60.77 beta=60.77 gamma=60.75
Fractional positions:
Mn 0.999 0.000 0.800
O 0.319 0.183 0.675
O 0.686 0.815 0.924
O 0.188 0.752 0.531
Mn 0.501 0.501 0.450
O 0.247 0.702 0.180
O 0.248 0.682 0.782
O 0.183 0.748 0.732
O 0.699 0.791 0.326
La 0.750 0.750 0.775
O 0.183 0.748 0.832
O 0.682 0.818 0.825
O 0.798 0.253 0.370
O 0.191 0.752 0.431
La 0.752 0.752 0.674
Mn 0.496 0.500 0.951
O 0.195 0.744 0.332
Mn 0.506 0.501 0.549
O 0.185 0.748 0.632
La 0.749 0.751 0.275
O 0.317 0.181 0.875
O 0.744 0.313 0.320
O 0.249 0.682 0.682
Fe 0.001 0.000 0.300
O 0.251 0.701 0.380
O 0.251 0.687 0.581
O 0.748 0.312 0.019
Sr 0.250 0.252 0.424
Mn 0.999 0.002 0.400
O 0.185 0.748 0.932
La 0.750 0.752 0.374
Sr 0.252 0.253 0.324
O 0.794 0.250 0.570
O 0.818 0.252 0.768
Mn 0.502 0.500 0.650
O 0.250 0.706 0.980
O 0.311 0.186 0.175
O 0.707 0.798 0.425
O 0.248 0.704 0.480
La 0.744 0.743 0.978
La 0.748 0.750 0.176
O 0.752 0.315 0.618
O 0.748 0.312 0.519
O 0.795 0.248 0.471
O 0.248 0.684 0.882
O 0.753 0.306 0.419
Sr 0.252 0.254 0.524
O 0.799 0.249 0.170
Sr 0.246 0.248 0.026
O 0.314 0.189 0.375
La 0.249 0.249 0.825
Fe 0.500 0.499 0.250
O 0.752 0.317 0.818
O 0.752 0.317 0.718
O 0.813 0.249 0.969
Mn 0.499 0.502 0.350
O 0.700 0.799 0.526
O 0.310 0.190 0.075
O 0.748 0.309 0.119
La 0.247 0.242 0.927
O 0.252 0.705 0.079
O 0.682 0.818 0.725
Mn 0.999 0.994 0.001
O 0.709 0.801 0.224
O 0.818 0.251 0.868
O 0.314 0.186 0.275
O 0.310 0.190 0.475
La 0.748 0.748 0.876
Sr 0.248 0.250 0.126
Sr 0.247 0.248 0.226
Mn 0.000 0.004 0.599
Mn 0.500 0.501 0.750
Mn 0.499 0.499 0.051
La 0.258 0.253 0.623
O 0.187 0.756 0.230
O 0.319 0.181 0.775
Mn 0.498 0.500 0.850
O 0.752 0.315 0.918
O 0.702 0.793 0.125
O 0.701 0.800 0.024
O 0.194 0.747 0.131
Mn 0.000 0.998 0.900
O 0.312 0.187 0.974
La 0.752 0.754 0.474
O 0.247 0.706 0.279
Mn 0.498 0.501 0.150
O 0.816 0.252 0.668
La 0.757 0.756 0.572
La 0.251 0.251 0.725
Mn 0.001 0.001 0.499
O 0.685 0.814 0.626
O 0.313 0.188 0.576
La 0.746 0.748 0.076
O 0.794 0.253 0.271
O 0.756 0.305 0.218
O 0.796 0.252 0.070
Mn 0.998 0.001 0.200
O 0.188 0.752 0.031
Mn 0.999 0.999 0.100
Mn 0.000 0.002 0.700

Output
E ... -7.66 eV/atom
Calculated density ... 6.15 g cm⁻³
Energy of formation ... -141.8 eV per formula unit
M_tot ... 38.003 μB/f.u.
E (MP2020) ... -8.4160 eV/atom

***

(8)
Below is a relaxed CaW2O4 crystal, with properties calculated at the GGA+U level.

Unit cell a=5.573 b=5.573 c=10.513 alpha=90.00 beta=90.00 gamma=146.00
Fractional positions:
O 0.763 0.237 0.390
W 0.868 0.132 0.929
O 0.763 0.237 0.110
O 0.237 0.763 0.890
O 0.237 0.763 0.610
W 0.868 0.132 0.571
O 0.034 0.966 0.250
Ca 0.615 0.385 0.750
O 0.500 0.500 0.000
Ca 0.385 0.615 0.250
W 0.132 0.868 0.071
O 0.966 0.034 0.750
W 0.132 0.868 0.429
O 0.500 0.500 0.500

Output
E ... -7.17 eV/atom
Calculated density ... 8.58 g cm⁻³
Energy of formation ... -14.1 eV per formula unit
M_tot ... 6.000 μB/f.u.
E (MP2020) ... -8.8288 eV/atom
Relative energy among the computed polymorphs ... 0.408 eV/f.u.